Record 1
Compound: UCdPb2O6
Source: the Materials Project
Functional: PBE
Structure: optimized geometry

a = 5.9610 Å, b = 6.1455 Å, c = 10.4002 Å
α = 90.00°, β = 124.37°, γ = 90.00°
Positions (direct):
U  0.0000  0.0000  0.0000
U  0.0000  0.5000  0.5000
Cd  0.5000  0.0000  0.5000
Cd  0.5000  0.5000  0.0000
Pb  0.2573  0.0413  0.7531
Pb  0.2573  0.4587  0.2531
Pb  0.7427  0.5413  0.7469
Pb  0.7427  0.9587  0.2469
O  0.1360  0.0300  0.2374
O  0.1360  0.4700  0.7374
O  0.2240  0.7146  0.0513
O  0.2240  0.7854  0.5513
O  0.3363  0.1778  0.0433
O  0.3363  0.3222  0.5433
O  0.6637  0.6778  0.4567
O  0.6637  0.8222  0.9567
O  0.7760  0.2146  0.4487
O  0.7760  0.2854  0.9487
O  0.8640  0.5300  0.2626
O  0.8640  0.9700  0.7626

Summary:
magnetization	0.000	μB per atom

=====

Record 2
Compound: CdPt9O12
Source: the Materials Project
Functional: PBE
Structure: optimized geometry

a = 5.7356 Å, b = 5.7531 Å, c = 17.1593 Å
α = 90.00°, β = 90.00°, γ = 90.00°
Positions (direct):
Cd  0.0000  0.0000  0.1677
Cd  0.0000  0.0000  0.8323
Pt  0.0000  0.5000  0.0814
Pt  0.0000  0.5000  0.2541
Pt  0.0000  0.5000  0.4173
Pt  0.0000  0.5000  0.5827
Pt  0.0000  0.5000  0.7459
Pt  0.0000  0.5000  0.9186
Pt  0.2524  0.0000  0.3377
Pt  0.2524  0.0000  0.6623
Pt  0.2576  0.0000  0.0000
Pt  0.5000  0.2536  0.5000
Pt  0.5000  0.2570  0.1685
Pt  0.5000  0.2570  0.8315
Pt  0.5000  0.7430  0.1685
Pt  0.5000  0.7430  0.8315
Pt  0.5000  0.7464  0.5000
Pt  0.7424  0.0000  0.0000
Pt  0.7476  0.0000  0.3377
Pt  0.7476  0.0000  0.6623
O  0.2400  0.2396  0.2494
O  0.2400  0.2396  0.7506
O  0.2400  0.7604  0.2494
O  0.2400  0.7604  0.7506
O  0.2419  0.2415  0.0868
O  0.2419  0.2415  0.9132
O  0.2419  0.7585  0.0868
O  0.2419  0.7585  0.9132
O  0.2502  0.2527  0.4182
O  0.2502  0.2527  0.5818
O  0.2502  0.7473  0.4182
O  0.2502  0.7473  0.5818
O  0.7498  0.2527  0.4182
O  0.7498  0.2527  0.5818
O  0.7498  0.7473  0.4182
O  0.7498  0.7473  0.5818
O  0.7581  0.2415  0.0868
O  0.7581  0.2415  0.9132
O  0.7581  0.7585  0.0868
O  0.7581  0.7585  0.9132
O  0.7600  0.2396  0.2494
O  0.7600  0.2396  0.7506
O  0.7600  0.7604  0.2494
O  0.7600  0.7604  0.7506

Summary:
magnetization	0.000	μB per atom

=====

Record 3
Compound: Rb6CdO4
Source: the Materials Project
Functional: PBE
Structure: optimized geometry

a = 9.2843 Å, b = 9.2843 Å, c = 7.0216 Å
α = 90.00°, β = 90.00°, γ = 120.00°
Positions (direct):
Rb  0.0760  0.5380  0.0000
Rb  0.1435  0.2870  0.6656
Rb  0.1435  0.8565  0.6656
Rb  0.2870  0.1435  0.1656
Rb  0.4620  0.5380  0.0000
Rb  0.4620  0.9240  0.0000
Rb  0.5380  0.0760  0.5000
Rb  0.5380  0.4620  0.5000
Rb  0.7130  0.8565  0.6656
Rb  0.8565  0.1435  0.1656
Rb  0.8565  0.7130  0.1656
Rb  0.9240  0.4620  0.5000
Cd  0.3333  0.6667  0.3936
Cd  0.6667  0.3333  0.8936
O  0.1967  0.3934  0.2837
O  0.1967  0.8033  0.2837
O  0.3333  0.6667  0.7127
O  0.3934  0.1967  0.7837
O  0.6066  0.8033  0.2837
O  0.6667  0.3333  0.2127
O  0.8033  0.1967  0.7837
O  0.8033  0.6066  0.7837

Summary:
maximum piezoelectric response	0.09	C/m²

=====

For each record above, in turn, the calculated formation energy values are -226.4, -83.2, -121.4 kJ per mole of atoms.